1.
A relaxed structure of Sm2Se3. Source: the Materials Project, functional PBE.

Unit cell a=11.403 b=4.130 c=11.133 alpha=90.00 beta=90.00 gamma=90.00
Fractional positions:
1 Sm 0.012 0.250 0.187
2 Sm 0.194 0.250 0.502
3 Sm 0.306 0.750 0.002
4 Sm 0.488 0.750 0.687
5 Sm 0.512 0.250 0.313
6 Sm 0.694 0.250 0.998
7 Sm 0.806 0.750 0.498
8 Sm 0.988 0.750 0.813
9 Se 0.045 0.750 0.375
10 Se 0.120 0.250 0.944
11 Se 0.228 0.750 0.698
12 Se 0.272 0.250 0.198
13 Se 0.380 0.750 0.444
14 Se 0.455 0.250 0.875
15 Se 0.545 0.750 0.125
16 Se 0.620 0.250 0.556
17 Se 0.728 0.750 0.802
18 Se 0.772 0.250 0.302
19 Se 0.880 0.750 0.056
20 Se 0.955 0.250 0.625

## Properties
energy relative to the elements	-209.5	kJ/mol of atoms
V	26.21	A^3/atom
density	6.8	g cm⁻³
SG	Pnma, No. 62



2.
A relaxed structure of LiPO4. Source: the Materials Project, functional PBE.

Unit cell a=7.488 b=7.488 c=7.488 alpha=114.26 beta=114.26 gamma=114.26
Fractional positions:
1 Li 0.056 0.747 0.196
2 Li 0.196 0.056 0.747
3 Li 0.747 0.196 0.056
4 P 0.366 0.631 0.462
5 P 0.462 0.366 0.631
6 P 0.631 0.462 0.366
7 O 0.100 0.538 0.260
8 O 0.232 0.680 0.990
9 O 0.260 0.100 0.538
10 O 0.294 0.440 0.522
11 O 0.440 0.522 0.294
12 O 0.522 0.294 0.440
13 O 0.538 0.260 0.100
14 O 0.607 0.926 0.719
15 O 0.680 0.990 0.232
16 O 0.719 0.607 0.926
17 O 0.926 0.719 0.607
18 O 0.990 0.232 0.680

## Properties
size of the total moment	0.548	μB/cell
energy relative to the elements	-178.1	kJ/mol of atoms
V	13.90	A^3/atom
density	2.0	g cm⁻³
SG	R3, No. 146



3.
A relaxed structure of Na5HfAl3P6O24. Source: the Materials Project, functional PBE.

Unit cell a=8.638 b=8.643 c=21.931 alpha=89.97 beta=89.94 gamma=60.06
Fractional positions:
1 Na 0.000 0.000 0.000
2 Na 0.000 0.359 0.755
3 Na 0.005 0.727 0.504
4 Na 0.007 0.359 0.256
5 Na 0.333 0.334 0.670
6 Na 0.334 0.699 0.917
7 Na 0.334 0.705 0.420
8 Na 0.366 0.364 0.000
9 Na 0.635 0.731 0.000
10 Na 0.636 0.367 0.503
11 Na 0.661 0.032 0.086
12 Na 0.668 0.032 0.589
13 Na 0.698 0.699 0.670
14 Na 0.700 0.334 0.170
15 Na 0.969 0.699 0.170
16 Hf 0.333 0.699 0.274
17 Hf 0.333 0.701 0.775
18 Hf 0.662 0.031 0.439
19 Al 0.001 0.359 0.604
20 Al 0.001 0.364 0.896
21 Al 0.002 0.362 0.399
22 Al 0.006 0.360 0.103
23 Al 0.333 0.705 0.568
24 Al 0.334 0.699 0.068
25 Al 0.661 0.032 0.236
26 Al 0.667 0.032 0.933
27 Al 0.672 0.032 0.737
28 P 0.001 0.652 0.002
29 P 0.012 0.077 0.503
30 P 0.038 0.702 0.666
31 P 0.041 0.995 0.166
32 P 0.280 0.370 0.504
33 P 0.287 0.078 0.002
34 P 0.330 0.994 0.666
35 P 0.334 0.400 0.166
36 P 0.370 0.043 0.334
37 P 0.378 0.311 0.837
38 P 0.627 0.702 0.166
39 P 0.631 0.401 0.666
40 P 0.678 0.318 0.334
41 P 0.678 0.742 0.837
42 P 0.713 0.645 0.504
43 P 0.714 0.365 0.002
44 P 0.946 0.042 0.838
45 P 0.953 0.735 0.335
46 O 0.017 0.183 0.159
47 O 0.020 0.532 0.659
48 O 0.034 0.164 0.445
49 O 0.038 0.529 0.947
50 O 0.127 0.869 0.110
51 O 0.128 0.730 0.610
52 O 0.134 0.872 0.832
53 O 0.139 0.720 0.330
54 O 0.157 0.911 0.223
55 O 0.161 0.659 0.722
56 O 0.162 0.389 0.158
57 O 0.164 0.402 0.447
58 O 0.166 0.162 0.947
59 O 0.167 0.182 0.659
60 O 0.169 0.674 0.011
61 O 0.171 0.885 0.511
62 O 0.186 0.208 0.343
63 O 0.190 0.335 0.844
64 O 0.199 0.338 0.561
65 O 0.205 0.197 0.059
66 O 0.294 0.523 0.222
67 O 0.298 0.911 0.724
68 O 0.307 0.535 0.510
69 O 0.310 0.887 0.011
70 O 0.355 0.872 0.329
71 O 0.360 0.499 0.832
72 O 0.370 0.490 0.110
73 O 0.371 0.866 0.612
74 O 0.463 0.066 0.278
75 O 0.464 0.202 0.778
76 O 0.473 0.207 0.499
77 O 0.478 0.054 0.995
78 O 0.487 0.001 0.391
79 O 0.495 0.231 0.895
80 O 0.501 0.011 0.675
81 O 0.506 0.219 0.176
82 O 0.506 0.489 0.610
83 O 0.507 0.503 0.329
84 O 0.508 0.724 0.832
85 O 0.508 0.730 0.110
86 O 0.523 0.533 0.011
87 O 0.525 0.667 0.511
88 O 0.548 0.524 0.722
89 O 0.548 0.658 0.222
90 O 0.638 0.242 0.393
91 O 0.641 0.219 0.676
92 O 0.641 0.859 0.895
93 O 0.650 0.866 0.175
94 O 0.690 0.198 0.996
95 O 0.697 0.832 0.499
96 O 0.700 0.204 0.277
97 O 0.700 0.828 0.778
98 O 0.798 0.530 0.447
99 O 0.799 0.402 0.947
100 O 0.814 0.389 0.659
101 O 0.815 0.531 0.159
102 O 0.830 0.330 0.060
103 O 0.832 0.566 0.561
104 O 0.834 0.842 0.996
105 O 0.835 0.065 0.780
106 O 0.840 0.827 0.277
107 O 0.841 0.555 0.845
108 O 0.842 0.055 0.498
109 O 0.843 0.338 0.343
110 O 0.851 0.866 0.676
111 O 0.855 0.010 0.175
112 O 0.867 0.005 0.896
113 O 0.878 0.850 0.393
114 O 0.965 0.571 0.060
115 O 0.968 0.199 0.559
116 O 0.971 0.205 0.845
117 O 0.973 0.550 0.343

## Properties
size of the total moment	0.000	μB/cell
energy relative to the elements	-284.8	kJ/mol of atoms
V	12.13	A^3/atom
density	3.3	g cm⁻³
SG	P1, No. 1



4.
A relaxed structure of InCo3SnS2. Source: the Materials Project, functional PBE.

Unit cell a=5.490 b=5.490 c=5.490 alpha=57.85 beta=57.85 gamma=57.85
Fractional positions:
1 In 0.000 0.000 0.000
2 Co 0.000 0.000 0.500
3 Co 0.000 0.500 0.000
4 Co 0.500 0.000 0.000
5 Sn 0.500 0.500 0.500
6 S 0.279 0.279 0.279
7 S 0.721 0.721 0.721

## Properties
size of the total moment	0.000	μB/cell
energy relative to the elements	-49.2	kJ/mol of atoms
V	15.89	A^3/atom
density	7.1	g cm⁻³
SG	R-3m, No. 166



5.
A relaxed structure of SiO2. Source: the Materials Project, functional PBE.

Unit cell a=8.631 b=8.631 c=8.631 alpha=109.47 beta=109.47 gamma=109.47
Fractional positions:
1 Si 0.000 0.000 0.314
2 Si 0.000 0.000 0.686
3 Si 0.000 0.314 0.000
4 Si 0.000 0.686 0.000
5 Si 0.314 0.000 0.000
6 Si 0.314 0.314 0.314
7 Si 0.686 0.000 0.000
8 Si 0.686 0.686 0.686
9 O 0.000 0.000 0.500
10 O 0.000 0.189 0.811
11 O 0.000 0.500 0.000
12 O 0.000 0.811 0.189
13 O 0.189 0.000 0.811
14 O 0.189 0.189 0.378
15 O 0.189 0.378 0.189
16 O 0.189 0.811 0.000
17 O 0.378 0.189 0.189
18 O 0.500 0.000 0.000
19 O 0.500 0.500 0.500
20 O 0.622 0.811 0.811
21 O 0.811 0.000 0.189
22 O 0.811 0.189 0.000
23 O 0.811 0.622 0.811
24 O 0.811 0.811 0.622

## Properties
energy relative to the elements	-313.7	kJ/mol of atoms
V	20.62	A^3/atom
density	1.6	g cm⁻³
SG	Im-3m, No. 229



6.
A relaxed structure of TmCoGe. Source: the Materials Project, functional PBE.

Unit cell a=6.777 b=4.190 c=7.198 alpha=90.00 beta=90.00 gamma=90.00
Fractional positions:
1 Tm 0.006 0.250 0.198
2 Tm 0.494 0.750 0.698
3 Tm 0.506 0.250 0.302
4 Tm 0.994 0.750 0.802
5 Co 0.159 0.750 0.431
6 Co 0.341 0.250 0.931
7 Co 0.659 0.750 0.069
8 Co 0.841 0.250 0.569
9 Ge 0.203 0.250 0.601
10 Ge 0.297 0.750 0.101
11 Ge 0.703 0.250 0.899
12 Ge 0.797 0.750 0.399

## Properties
energy relative to the elements	-66.2	kJ/mol of atoms
V	17.03	A^3/atom
density	9.8	g cm⁻³
SG	Pnma, No. 62



7.
A relaxed structure of KAsO3. Source: the Materials Project, functional PBE.

Unit cell a=11.588 b=11.831 c=5.029 alpha=90.00 beta=90.00 gamma=90.00
Fractional positions:
1 K 0.000 0.110 0.250
2 K 0.000 0.312 0.750
3 K 0.000 0.688 0.250
4 K 0.000 0.890 0.750
5 K 0.500 0.188 0.250
6 K 0.500 0.390 0.750
7 K 0.500 0.610 0.250
8 K 0.500 0.812 0.750
9 As 0.231 0.412 0.222
10 As 0.231 0.588 0.722
11 As 0.269 0.088 0.722
12 As 0.269 0.912 0.222
13 As 0.731 0.088 0.778
14 As 0.731 0.912 0.278
15 As 0.769 0.412 0.278
16 As 0.769 0.588 0.778
17 O 0.126 0.100 0.747
18 O 0.126 0.900 0.247
19 O 0.139 0.308 0.288
20 O 0.139 0.692 0.788
21 O 0.186 0.459 0.893
22 O 0.186 0.541 0.393
23 O 0.314 0.041 0.393
24 O 0.314 0.959 0.893
25 O 0.361 0.192 0.788
26 O 0.361 0.808 0.288
27 O 0.374 0.400 0.247
28 O 0.374 0.600 0.747
29 O 0.626 0.400 0.253
30 O 0.626 0.600 0.753
31 O 0.639 0.192 0.712
32 O 0.639 0.808 0.212
33 O 0.686 0.041 0.107
34 O 0.686 0.959 0.607
35 O 0.814 0.459 0.607
36 O 0.814 0.541 0.107
37 O 0.861 0.308 0.212
38 O 0.861 0.692 0.712
39 O 0.874 0.100 0.753
40 O 0.874 0.900 0.253

## Properties
energy relative to the elements	-186.4	kJ/mol of atoms
V	17.24	A^3/atom
density	3.1	g cm⁻³
SG	Pbcn, No. 60



8.
A relaxed structure of LiCuPO4. Source: the Materials Project, functional PBE.

Unit cell a=8.038 b=5.295 c=8.484 alpha=90.00 beta=104.19 gamma=90.00
Fractional positions:
1 Li 0.000 0.138 0.000
2 Li 0.000 0.862 0.500
3 Li 0.456 0.327 0.284
4 Li 0.456 0.673 0.784
5 Cu 0.086 0.347 0.360
6 Cu 0.086 0.653 0.860
7 Cu 0.599 0.167 0.695
8 Cu 0.599 0.833 0.195
9 P 0.224 0.177 0.740
10 P 0.224 0.823 0.240
11 P 0.716 0.334 0.063
12 P 0.716 0.666 0.563
13 O 0.095 0.197 0.570
14 O 0.095 0.803 0.070
15 O 0.141 0.296 0.872
16 O 0.141 0.704 0.372
17 O 0.259 0.105 0.282
18 O 0.259 0.895 0.782
19 O 0.390 0.323 0.737
20 O 0.390 0.677 0.237
21 O 0.578 0.191 0.128
22 O 0.578 0.809 0.628
23 O 0.662 0.387 0.530
24 O 0.662 0.613 0.030
25 O 0.748 0.213 0.905
26 O 0.748 0.787 0.405
27 O 0.896 0.288 0.180
28 O 0.896 0.712 0.680

## Properties
size of the total moment	4.000	μB/cell
energy relative to the elements	-207.6	kJ/mol of atoms
V	12.50	A^3/atom
density	3.1	g cm⁻³
distance to the lowest polymorph of the same formula	0.0448	eV per atom
SG	Pc, No. 7



Q: What is the formula in the third record?
A: Na5HfAl3P6O24